1.
A plane-wave DFT calculation with GGA-PBE was carried out for an optimized crystal structure of Mn3SiIr.

POSCAR file:
```
Mn3SiIr
1.0
6.3761 0.0000 0.0000
0.0000 6.3761 0.0000
0.0000 0.0000 6.3761
Mn Si Ir
12 4 4
direct
0.0476 0.1299 0.7885
0.1299 0.7885 0.0476
0.2115 0.5476 0.3701
0.2885 0.4524 0.8701
0.3701 0.2115 0.5476
0.4524 0.8701 0.2885
0.5476 0.3701 0.2115
0.6299 0.7115 0.9524
0.7115 0.9524 0.6299
0.7885 0.0476 0.1299
0.8701 0.2885 0.4524
0.9524 0.6299 0.7115
0.0597 0.9403 0.4403
0.4403 0.0597 0.9403
0.5597 0.5597 0.5597
0.9403 0.4403 0.0597
0.1853 0.1853 0.1853
0.3147 0.8147 0.6853
0.6853 0.3147 0.8147
0.8147 0.6853 0.3147
```

---

2.
A plane-wave DFT calculation with GGA-PBE was carried out for an optimized crystal structure of Ti2MnIr.

POSCAR file:
```
Ti2MnIr
1.0
6.0920 0.0000 0.0000
0.0000 6.0920 0.0000
0.0000 0.0000 6.0920
Ti Mn Ir
8 4 4
direct
0.2500 0.2500 0.2500
0.2500 0.2500 0.7500
0.2500 0.7500 0.2500
0.2500 0.7500 0.7500
0.7500 0.2500 0.2500
0.7500 0.2500 0.7500
0.7500 0.7500 0.2500
0.7500 0.7500 0.7500
0.0000 0.0000 0.0000
0.0000 0.5000 0.5000
0.5000 0.0000 0.5000
0.5000 0.5000 0.0000
0.0000 0.0000 0.5000
0.0000 0.5000 0.0000
0.5000 0.0000 0.0000
0.5000 0.5000 0.5000
```

---

3.
A plane-wave DFT calculation with GGA-PBE was carried out for an optimized crystal structure of TiMnIr2.

POSCAR file:
```
TiMnIr2
1.0
6.1717 0.0000 0.0000
0.0000 6.1717 0.0000
0.0000 0.0000 6.1717
Ti Mn Ir
4 4 8
direct
0.0000 0.0000 0.0000
0.0000 0.5000 0.5000
0.5000 0.0000 0.5000
0.5000 0.5000 0.0000
0.0000 0.0000 0.5000
0.0000 0.5000 0.0000
0.5000 0.0000 0.0000
0.5000 0.5000 0.5000
0.2500 0.2500 0.2500
0.2500 0.2500 0.7500
0.2500 0.7500 0.2500
0.2500 0.7500 0.7500
0.7500 0.2500 0.2500
0.7500 0.2500 0.7500
0.7500 0.7500 0.2500
0.7500 0.7500 0.7500
```

---

| no. | calculated total energy (eV per atom) | energy of formation (meV per atom) |
| --- | --- | --- |
| 1 | -8.573 | -223 |
| 2 | -9.150 | -702 |
| 3 | -9.261 | -578 |